1.
Compound: LiFeP2O7
Source: Materials Project
Functional: PBE with a Hubbard U
Structure: optimized geometry

Properties
Mass density   3.021 g cm⁻³
E above lowest polymorph   78.2 meV per atom
SG   P1
E_tot   -6.882 eV/atom

The structure in extended XYZ format:
```
88
Lattice="9.687 0.000 0.000 -0.051 9.775 0.000 -2.192 -0.058 10.992" Properties=species:S:1:pos:R:3 pbc="T T T"
Li 0.000 0.000 0.000
Li -0.996 3.467 5.176
Li 1.636 0.844 5.692
Li 2.469 2.756 10.931
Li 4.048 6.565 4.698
Li 4.359 9.370 5.556
Li 5.239 4.755 10.164
Li 5.749 7.629 10.345
Fe -0.378 7.882 7.061
Fe 1.224 5.759 1.594
Fe -0.154 1.016 8.833
Fe 1.260 2.969 3.288
Fe 4.486 4.494 7.034
Fe 5.956 6.599 1.642
Fe 4.594 1.681 8.798
Fe 6.089 9.488 3.204
P -1.692 5.824 9.409
P -0.631 0.263 4.371
P 1.467 5.179 6.072
P 2.633 0.962 1.014
P 1.654 2.941 8.015
P 3.205 8.156 2.475
P 2.520 9.139 8.052
P 4.107 4.493 2.347
P 3.042 6.496 9.435
P 4.228 2.337 4.421
P 6.345 7.228 6.073
P 7.455 1.766 0.971
P 6.532 9.413 8.095
P 8.061 4.295 2.475
P 7.389 3.210 8.005
P 8.866 7.911 2.275
O -1.732 2.156 8.980
O -1.560 4.580 8.393
O -0.293 9.211 3.045
O -0.079 4.112 2.173
O -0.007 6.721 2.792
O -0.977 6.960 8.689
O -0.018 1.672 4.172
O -1.016 5.393 10.731
O -0.007 9.356 5.558
O -0.288 0.427 10.700
O 0.845 4.322 4.970
O 1.769 2.024 1.713
O 0.846 6.538 6.324
O 0.908 1.854 7.212
O 0.970 9.044 8.265
O 1.234 4.366 7.471
O 2.475 9.507 2.053
O 2.638 7.083 1.539
O 1.175 2.721 9.444
O 2.552 4.536 2.580
O 2.690 2.180 4.473
O 1.625 6.213 9.683
O 2.978 7.981 3.948
O 3.006 5.303 5.923
O 2.852 9.456 6.612
O 4.061 1.311 0.816
O 4.581 4.451 0.925
O 3.218 2.902 7.871
O 3.226 7.750 8.391
O 3.161 0.391 9.042
O 4.580 3.162 3.090
O 4.760 8.297 2.148
O 4.805 5.696 3.038
O 4.858 0.948 4.195
O 3.924 5.402 8.749
O 4.778 3.095 5.613
O 3.886 6.921 10.720
O 5.604 7.988 4.957
O 4.521 2.287 10.679
O 6.634 0.625 1.598
O 5.680 5.864 6.293
O 5.706 0.747 7.456
O 5.835 3.406 8.346
O 6.021 8.043 7.439
O 7.328 2.916 2.080
O 7.463 5.297 1.437
O 7.320 7.813 2.605
O 6.182 9.338 9.561
O 7.535 0.311 4.423
O 6.519 6.058 9.634
O 7.749 4.522 3.908
O 7.651 2.955 6.570
O 8.885 1.482 0.715
O 7.850 7.189 5.923
O 9.105 8.133 0.811
O 8.060 9.511 7.811
```



2.
Compound: LiFePO4
Source: Materials Project
Functional: PBE with a Hubbard U
Structure: optimized geometry

Properties
Mass density   3.307 g cm⁻³
E above lowest polymorph   58.8 meV per atom
SG   Pna2_1
E_tot   -6.790 eV/atom

The structure in extended XYZ format:
```
84
Lattice="19.676 0.000 0.000 0.000 8.235 0.000 0.000 0.000 5.867" Properties=species:S:1:pos:R:3 pbc="T T T"
Li 0.221 1.943 0.000
Li 3.097 6.231 3.410
Li 3.484 2.084 1.364
Li 6.354 6.202 4.297
Li 6.741 2.113 0.476
Li 9.616 6.060 2.934
Li 10.059 2.175 0.000
Li 12.935 6.121 3.410
Li 13.322 2.033 1.364
Li 16.192 6.150 4.297
Li 16.579 2.004 0.476
Li 19.454 6.292 2.934
Fe 1.380 4.066 4.024
Fe 1.965 7.840 0.269
Fe 4.625 0.417 3.999
Fe 5.213 4.534 1.065
Fe 7.873 3.722 3.203
Fe 8.458 8.183 1.090
Fe 11.218 0.052 4.024
Fe 11.803 4.512 0.269
Fe 14.463 3.701 3.999
Fe 15.051 7.818 1.065
Fe 17.711 0.395 3.203
Fe 18.295 4.169 1.090
P 1.407 0.728 3.270
P 1.805 4.780 1.070
P 4.725 3.509 3.934
P 5.112 7.626 1.001
P 8.033 0.663 4.004
P 8.431 4.845 0.336
P 11.245 3.390 3.270
P 11.642 7.572 1.070
P 14.563 0.608 3.934
P 14.950 4.725 1.001
P 17.871 3.455 4.004
P 18.269 7.507 0.336
O 0.084 8.198 3.180
O 0.650 3.752 0.829
O 1.252 2.035 4.091
O 1.555 5.525 2.425
O 1.776 5.820 5.780
O 1.976 0.990 1.849
O 2.457 8.072 4.061
O 3.149 4.027 1.120
O 3.415 4.290 4.064
O 4.099 0.327 0.234
O 4.531 7.229 2.383
O 4.569 2.220 3.066
O 5.269 6.338 0.132
O 5.307 3.112 5.317
O 5.739 4.445 3.167
O 6.423 0.173 1.130
O 6.689 8.144 4.054
O 7.381 3.955 1.127
O 7.862 5.107 4.783
O 8.062 1.703 2.847
O 8.283 1.408 5.359
O 8.586 6.153 1.158
O 9.188 7.869 3.763
O 9.754 4.081 0.246
O 9.922 4.154 3.180
O 10.488 0.365 0.829
O 11.090 2.082 4.091
O 11.393 6.827 2.425
O 11.614 6.532 5.780
O 11.814 3.127 1.849
O 12.295 4.280 4.061
O 12.987 0.090 1.120
O 13.253 8.062 4.064
O 13.937 3.790 0.234
O 14.369 5.123 2.383
O 14.407 1.897 3.066
O 15.107 6.014 0.132
O 15.145 1.006 5.317
O 15.577 7.907 3.167
O 16.261 3.944 1.130
O 16.527 4.208 4.054
O 17.219 0.162 1.127
O 17.700 7.245 4.783
O 17.900 2.415 2.847
O 18.121 2.709 5.359
O 18.424 6.199 1.158
O 19.025 4.482 3.763
O 19.591 0.036 0.246
```



3.
Compound: LiFeP2O7
Source: Materials Project
Functional: PBE with a Hubbard U
Structure: optimized geometry

Properties
Mass density   3.268 g cm⁻³
E above lowest polymorph   43.8 meV per atom
SG   Cc
E_tot   -6.917 eV/atom

The structure in extended XYZ format:
```
22
Lattice="3.273 -4.170 0.000 3.273 4.170 0.000 -2.168 0.000 8.815" Properties=species:S:1:pos:R:3 pbc="T T T"
Li 2.189 2.543 4.407
Li 3.273 -2.543 0.000
Fe 1.196 2.662 8.766
Fe 2.280 -2.662 4.359
P 0.180 0.017 7.003
P 1.264 -0.017 2.595
P 4.304 0.056 1.747
P 3.220 -0.056 6.154
O -0.575 0.080 5.665
O 0.882 1.232 3.403
O 0.509 -0.080 1.258
O 0.089 1.299 7.841
O -0.202 -1.232 7.811
O 1.173 -1.299 3.434
O 2.770 0.156 2.158
O 1.686 -0.156 6.565
O 4.527 1.347 0.936
O 3.487 1.207 5.337
O 4.571 -1.207 0.930
O 5.027 0.041 3.107
O 3.443 -1.347 5.343
O 3.943 -0.041 7.515
```



| no. | energy of formation from the pure elements (eV/atom) |
| --- | --- |
| 1 | -2.448 |
| 2 | -2.421 |
| 3 | -2.482 |